No. 1
The following is a DFT calculation (GGA+U) of a relaxed structure of Fe6O5F7.

abc: 5.6821 5.6821 7.4048
angles: 72.10 72.10 72.13
With the nearest neighbours (Å) after each atom.
Atoms (fractional coordinates):
O (0.3618, 0.9666, 0.3330)  3 Fe 1.91-2.02
O (0.9666, 0.3618, 0.3330)  3 Fe 1.91-2.02
O (0.2220, 0.2220, 0.9568)  3 Fe 1.92-2.01
O (0.5709, 0.5709, 0.6257)  2 Fe 1.86-2.01
O (0.7756, 0.7756, 0.0404)  3 Fe 1.89-2.06
Fe (0.9917, 0.9917, 0.0005)  2 O 1.89-2.01, 4 F 2.04-2.06
Fe (0.0196, 0.0196, 0.4840)  2 O 1.91, 4 F 2.02-2.06
Fe (0.6619, 0.6619, 0.3320)  4 O 2.01-2.02, 2 F 2.06-2.12
Fe (0.3043, 0.3043, 0.1642)  3 O 1.94-1.95, 2 F 2.08
Fe (0.3550, 0.3550, 0.6838)  2 O 1.86-1.92, 2 F 2.03
Fe (0.6713, 0.6713, 0.8378)  2 O 2.06-2.10, 4 F 2.15-2.16
F (0.2899, 0.6822, 0.0145)  3 Fe 2.04-2.15
F (0.9009, 0.9009, 0.3010)  3 Fe 2.04-2.12
F (0.0492, 0.6508, 0.6503)  3 Fe 2.03-2.16
F (0.6508, 0.0492, 0.6503)  3 Fe 2.03-2.16
F (0.1000, 0.1000, 0.7030)  2 Fe 2.02-2.04
F (0.4263, 0.4263, 0.3752)  3 Fe 2.06-2.24
F (0.6822, 0.2899, 0.0145)  3 Fe 2.04-2.15

Properties
Energy relative to the elements, eV per atom: -2.096
M_tot, μB per formula unit: 29.00


No. 2
The following is a DFT calculation (GGA+U) of a relaxed structure of Fe2O3F.

abc: 4.6574 5.5387 12.9902
angles: 101.56 90.38 90.76
With the nearest neighbours (Å) after each atom.
Atoms (fractional coordinates):
F (0.1882, 0.3468, 0.4607)  3 Fe 2.07-2.16
F (0.3072, 0.4443, 0.8664)  3 Fe 2.00-2.06
F (0.6902, 0.9566, 0.7348)  3 Fe 2.00-2.07
F (0.8103, 0.0590, 0.1361)  3 Fe 2.02-2.10
F (0.1947, 0.5384, 0.2650)  3 Fe 2.02-2.12
Fe (0.0129, 0.8001, 0.1986)  4 O 1.94-1.97, 2 F 2.02
Fe (0.9640, 0.6181, 0.4073)  4 O 1.92-2.00, 2 F 2.07-2.12
Fe (0.5153, 0.0881, 0.3952)  5 O 1.95-1.98, 1 F 2.16
Fe (0.9827, 0.4038, 0.6068)  5 O 1.94-2.03, 1 F 2.10
Fe (0.5009, 0.6983, 0.7996)  4 O 1.97-1.99, 2 F 2.00
Fe (0.0225, 0.9924, 0.9915)  5 O 1.96-2.04, 1 F 2.10
Fe (0.9994, 0.1999, 0.8002)  4 O 1.92-1.94, 2 F 2.02
Fe (0.5246, 0.5076, 0.0086)  5 O 1.94-2.08, 1 F 2.06
Fe (0.4716, 0.8942, 0.5923)  5 O 1.94-2.05, 1 F 2.07
Fe (0.5021, 0.3000, 0.2011)  4 O 1.93-1.95, 2 F 2.03-2.04
O (0.7978, 0.4532, 0.7461)  3 Fe 1.94-1.98
O (0.2026, 0.9454, 0.8531)  3 Fe 1.94-1.99
O (0.1856, 0.1499, 0.6655)  3 Fe 1.93-2.05
O (0.1964, 0.7492, 0.0627)  3 Fe 1.94-2.08
O (0.3115, 0.0429, 0.2587)  3 Fe 1.94-1.98
O (0.3023, 0.6444, 0.6622)  3 Fe 1.96-2.01
O (0.3144, 0.2489, 0.0656)  3 Fe 1.93-2.04
O (0.7969, 0.6526, 0.5442)  3 Fe 1.92-2.05
O (0.8150, 0.2500, 0.9343)  3 Fe 1.92-2.08
O (0.2966, 0.8447, 0.4539)  3 Fe 1.94-1.99
O (0.6885, 0.3545, 0.3384)  3 Fe 1.94-2.00
O (0.6890, 0.1514, 0.5352)  3 Fe 1.95-2.03
O (0.6952, 0.7546, 0.9380)  3 Fe 1.96-2.03
O (0.8140, 0.8551, 0.3322)  3 Fe 1.92-1.98
O (0.7075, 0.5555, 0.1459)  3 Fe 1.94-1.97

Properties
Energy relative to the elements, eV per atom: -1.640
M_tot, μB per formula unit: 9.00


No. 3
The following is a DFT calculation (GGA+U) of a relaxed structure of Fe5O3F7.

abc: 4.7667 4.7764 15.6364
angles: 90.15 90.28 91.33
With the nearest neighbours (Å) after each atom.
Atoms (fractional coordinates):
O (0.1804, 0.8167, 0.5025)  3 Fe 1.86-2.06
O (0.3178, 0.3172, 0.1988)  3 Fe 1.86-1.98
O (0.3068, 0.3017, 0.3947)  3 Fe 1.89-1.99
O (0.6738, 0.6724, 0.0044)  3 Fe 1.88-1.97
O (0.1940, 0.8123, 0.6997)  3 Fe 1.93-1.94
O (0.3119, 0.3128, 0.7978)  3 Fe 1.86-2.04
F (0.7917, 0.1983, 0.1028)  3 Fe 2.03-2.14
F (0.1943, 0.8050, 0.8918)  3 Fe 1.99-2.16
F (0.2802, 0.2792, 0.0047)  3 Fe 2.07-2.17
F (0.8052, 0.1935, 0.5045)  3 Fe 2.11-2.21
F (0.7108, 0.7148, 0.7933)  3 Fe 2.00-2.23
F (0.8113, 0.2003, 0.3064)  3 Fe 2.06-2.13
F (0.1979, 0.7921, 0.1033)  3 Fe 2.03-2.14
F (0.6862, 0.6927, 0.6042)  3 Fe 2.04-2.16
F (0.8032, 0.2038, 0.6962)  3 Fe 2.11-2.23
F (0.8112, 0.1877, 0.8891)  3 Fe 2.02-2.16
F (0.7069, 0.7034, 0.2037)  3 Fe 2.11-2.13
F (0.7108, 0.7128, 0.3916)  3 Fe 2.08-2.18
F (0.2063, 0.8035, 0.3050)  3 Fe 2.03-2.14
F (0.2959, 0.3059, 0.6059)  3 Fe 2.03-2.17
Fe (0.0414, 0.0209, 0.7944)  2 O 1.88-1.94, 2 F 1.99-2.02
Fe (0.0196, 0.9691, 0.5999)  2 O 1.86-1.93, 2 F 2.04-2.06
Fe (0.0353, 0.0096, 0.4051)  2 O 1.89-1.92, 4 F 2.03-2.11
Fe (0.9639, 0.9648, 0.9997)  1 O 1.94, 5 F 2.10-2.16
Fe (0.4810, 0.4705, 0.2974)  2 O 1.86-1.91, 1 F 2.06
Fe (0.0211, 0.0205, 0.2000)  1 O 1.98, 5 F 2.06-2.14
Fe (0.4987, 0.4992, 0.0989)  2 O 1.88-1.98, 3 F 2.03-2.07
Fe (0.4650, 0.5172, 0.7076)  2 O 1.86-1.94, 2 F 2.00-2.03
Fe (0.5021, 0.4933, 0.9023)  2 O 1.97-2.04, 3 F 2.11-2.17
Fe (0.4751, 0.5088, 0.4940)  2 O 1.99-2.06, 4 F 2.16-2.21

Properties
Energy relative to the elements, eV per atom: -2.221
M_tot, μB per formula unit: 23.00


No. 4
The following is a DFT calculation (GGA+U) of a relaxed structure of Fe5O3F7.

abc: 15.6249 4.8219 4.8224
angles: 88.50 90.00 90.00
With the nearest neighbours (Å) after each atom.
Atoms (fractional coordinates):
Fe (0.6015, 0.0209, 0.9801)  1 O 2.04, 5 F 2.12-2.14
Fe (0.5000, 0.4769, 0.5235)  2 O 1.90, 2 F 2.05
Fe (0.8948, 0.5257, 0.5081)  2 O 2.03-2.07, 4 F 2.12-2.24
Fe (0.6994, 0.4967, 0.4956)  2 O 1.91-1.93, 4 F 2.05-2.10
Fe (0.3006, 0.4967, 0.4956)  2 O 1.91-1.93, 4 F 2.05-2.10
Fe (0.8072, 0.9594, 0.0197)  2 O 1.89-1.90, 2 F 2.05-2.09
Fe (0.1928, 0.9594, 0.0197)  2 O 1.89-1.90, 2 F 2.05-2.09
Fe (0.3985, 0.0209, 0.9801)  1 O 2.04, 5 F 2.12-2.14
Fe (0.1052, 0.5257, 0.5081)  2 O 2.03-2.07, 4 F 2.12-2.24
Fe (0.0000, 0.9791, 0.9712)  2 O 1.90, 2 F 2.00-2.05
F (0.2081, 0.2862, 0.7158)  3 Fe 2.05-2.20
F (0.9019, 0.1908, 0.1962)  3 Fe 2.05-2.24
F (0.5000, 0.8038, 0.7867)  3 Fe 2.05-2.13
F (0.0981, 0.1908, 0.1962)  3 Fe 2.05-2.24
F (0.4023, 0.7018, 0.2970)  3 Fe 2.09-2.15
F (0.7052, 0.1941, 0.1984)  3 Fe 2.07-2.15
F (0.7919, 0.2862, 0.7158)  3 Fe 2.05-2.20
F (0.5000, 0.2141, 0.1962)  3 Fe 2.05-2.13
F (0.0000, 0.3097, 0.6957)  3 Fe 2.05-2.13
F (0.7037, 0.7984, 0.8016)  3 Fe 2.09-2.12
F (0.2963, 0.7984, 0.8016)  3 Fe 2.09-2.12
F (0.5977, 0.7018, 0.2970)  3 Fe 2.09-2.15
F (0.2948, 0.1941, 0.1984)  3 Fe 2.07-2.15
F (0.0000, 0.7129, 0.2965)  3 Fe 2.00-2.12
O (0.6022, 0.3226, 0.6755)  3 Fe 1.90-2.04
O (0.7910, 0.6889, 0.3098)  3 Fe 1.90-2.03
O (0.3978, 0.3226, 0.6755)  3 Fe 1.90-2.04
O (0.2090, 0.6889, 0.3098)  3 Fe 1.90-2.03
O (0.0997, 0.8162, 0.8173)  3 Fe 1.89-2.07
O (0.9003, 0.8162, 0.8173)  3 Fe 1.89-2.07

Properties
Energy relative to the elements, eV per atom: -2.227
M_tot, μB per formula unit: 23.00


No. 5
The following is a DFT calculation (GGA+U) of a relaxed structure of Fe10O11F9.

abc: 4.7020 4.7047 15.5017
angles: 89.73 89.83 89.59
With the nearest neighbours (Å) after each atom.
Atoms (fractional coordinates):
O (0.6850, 0.3173, 0.0040)  3 Fe 1.94-1.95
O (0.3003, 0.6994, 0.3994)  3 Fe 1.92-2.03
O (0.8055, 0.8018, 0.0980)  3 Fe 1.93-2.01
O (0.6993, 0.2995, 0.3950)  3 Fe 1.96-1.99
O (0.1893, 0.1915, 0.4996)  3 Fe 1.91-1.95
O (0.1841, 0.1957, 0.9033)  3 Fe 1.93-1.97
O (0.6870, 0.3084, 0.5971)  3 Fe 1.92-1.99
O (0.3252, 0.6814, 0.2010)  3 Fe 1.95-1.97
O (0.2054, 0.2018, 0.1007)  3 Fe 1.93-2.01
O (0.1906, 0.1974, 0.7012)  3 Fe 1.93-1.95
O (0.6882, 0.3042, 0.8005)  3 Fe 1.93-1.95
Fe (0.0064, 0.0383, 0.8022)  3 O 1.93-1.94, 2 F 2.10-2.12
Fe (0.4947, 0.4699, 0.4937)  4 O 1.95-2.03, 1 F 2.13
Fe (0.4994, 0.4603, 0.9007)  3 O 1.93-1.94, 3 F 2.11-2.14
Fe (0.0026, 0.0420, 0.6016)  3 O 1.93-1.94, 3 F 2.11-2.15
Fe (0.5065, 0.4624, 0.6983)  3 O 1.92-1.95, 2 F 2.11-2.12
Fe (0.9891, 0.0342, 0.0045)  4 O 1.95-2.01, 2 F 2.13-2.17
Fe (0.5050, 0.5029, 0.1014)  4 O 1.94-2.01, 2 F 2.10
Fe (0.0094, 0.0105, 0.4041)  3 O 1.91-2.00, 3 F 2.06-2.12
Fe (0.4928, 0.5132, 0.3056)  3 O 1.92-1.97, 3 F 2.07-2.14
Fe (0.0273, 0.9705, 0.1887)  3 O 1.93-1.95, 3 F 2.10-2.13
F (0.7988, 0.8022, 0.5021)  3 Fe 2.06-2.15
F (0.2951, 0.6997, 0.6013)  3 Fe 2.11-2.20
F (0.1970, 0.1873, 0.2962)  3 Fe 2.06-2.12
F (0.7105, 0.2935, 0.2043)  3 Fe 2.10-2.14
F (0.8178, 0.8071, 0.2976)  3 Fe 2.07-2.12
F (0.2973, 0.7025, 0.9972)  3 Fe 2.10-2.13
F (0.7987, 0.8034, 0.7005)  3 Fe 2.12-2.17
F (0.7941, 0.8036, 0.8994)  3 Fe 2.12-2.17
F (0.2975, 0.6980, 0.8006)  3 Fe 2.10-2.17

Properties
Energy relative to the elements, eV per atom: -1.960
M_tot, μB per formula unit: 49.00


No. 6
The following is a DFT calculation (GGA+U) of a relaxed structure of Fe2O3F.

abc: 4.7321 18.8090 3.0068
angles: 90.00 90.00 91.93
With the nearest neighbours (Å) after each atom.
Atoms (fractional coordinates):
O (0.2759, 0.8279, 0.0000)  3 Fe 1.94-2.05
O (0.8046, 0.0508, 0.5000)  3 Fe 1.95-1.98
O (0.1367, 0.9534, 0.5000)  3 Fe 1.94-2.03
O (0.2056, 0.4500, 0.5000)  3 Fe 1.95-1.97
O (0.1799, 0.7018, 0.5000)  3 Fe 1.93-1.99
O (0.7344, 0.1741, 0.0000)  3 Fe 1.92-2.03
O (0.6338, 0.9246, 0.0000)  3 Fe 1.94-2.03
O (0.3044, 0.5764, 0.0000)  3 Fe 1.96-1.98
O (0.6815, 0.6737, 0.0000)  3 Fe 1.93-1.97
O (0.2439, 0.1977, 0.5000)  3 Fe 1.92-1.95
O (0.7079, 0.4229, 0.0000)  3 Fe 1.96-1.99
O (0.3391, 0.3248, 0.0000)  3 Fe 1.94-1.96
F (0.8068, 0.5484, 0.5000)  3 Fe 2.08-2.22
F (0.8506, 0.2960, 0.5000)  3 Fe 2.07-2.31
F (0.3176, 0.0759, 0.0000)  3 Fe 2.10-2.21
F (0.7803, 0.7991, 0.5000)  3 Fe 2.10-2.25
Fe (0.5023, 0.3791, 0.5000)  5 O 1.96-1.97
Fe (0.4390, 0.8797, 0.5000)  5 O 1.94-2.03
Fe (0.5444, 0.1313, 0.5000)  4 O 1.92-1.98, 2 F 2.10
Fe (0.0665, 0.2453, 0.0000)  4 O 1.94-2.03, 2 F 2.07
Fe (0.9906, 0.7437, 0.0000)  4 O 1.93-2.05, 2 F 2.10
Fe (0.9568, 0.9984, 0.0000)  5 O 1.94-2.03
Fe (0.0225, 0.4960, 0.0000)  4 O 1.95-1.99, 2 F 2.08
Fe (0.4747, 0.6291, 0.5000)  5 O 1.96-1.99

Properties
Energy relative to the elements, eV per atom: -0.981
M_tot, μB per formula unit: 0.10